The following is a PBE with a Hubbard U calculation of Li4Mn7P6O24 after structural relaxation, from Materials Project.

- Energy relative to the lowest polymorph listed for this composition: 0 meV per atom
- Total magnetic moment: 35.00 μB/f.u.
- ΔH_f (0 K): -2.55 eV/atom
- E: -0.5369 Ry/atom
- Density: 3.370 Mg/m³

Unit cell a=6.6392 b=8.3063 c=9.7470 alpha=102.62 beta=106.48 gamma=101.14
Atoms (fractional coordinates):
Li 0.0000 0.0000 0.0000
Li 0.0473 0.9240 0.2765
Li 0.1811 0.3999 0.4943
Li 0.4265 0.0704 0.9463
Mn 0.0112 0.3050 0.8882
Mn 0.0794 0.9253 0.6932
Mn 0.3930 0.0667 0.5218
Mn 0.4569 0.6970 0.3270
Mn 0.6505 0.7510 0.0651
Mn 0.7481 0.5025 0.6228
Mn 0.8034 0.2491 0.1574
P 0.1300 0.7263 0.9832
P 0.3318 0.2671 0.2374
P 0.4975 0.3491 0.8364
P 0.6359 0.9021 0.7724
P 0.8302 0.0870 0.4393
P 0.9685 0.6463 0.3818
O 0.0108 0.5517 0.8587
O 0.0412 0.0360 0.5132
O 0.1091 0.2519 0.1104
O 0.1827 0.7668 0.3837
O 0.1859 0.8690 0.9084
O 0.2754 0.1357 0.3205
O 0.2816 0.2285 0.8342
O 0.3383 0.7135 0.0993
O 0.4240 0.4467 0.3569
O 0.4279 0.9557 0.7020
O 0.4843 0.2234 0.1517
O 0.5030 0.3214 0.6707
O 0.5038 0.5342 0.8943
O 0.6257 0.7208 0.6890
O 0.6269 0.9644 0.4487
O 0.6631 0.9362 0.9430
O 0.6947 0.2971 0.9318
O 0.7672 0.6829 0.2778
O 0.8098 0.0536 0.2709
O 0.8502 0.0303 0.7773
O 0.8575 0.2757 0.5216
O 0.9525 0.6745 0.5427
O 0.9808 0.4614 0.3329
O 0.9833 0.7877 0.0705

The following is a PBE with a Hubbard U calculation of LiMnPO4 after structural relaxation, from Materials Project.

- Energy relative to the lowest polymorph listed for this composition: 53 meV per atom
- Total magnetic moment: 0.00 μB/f.u.
- ΔH_f (0 K): -2.58 eV/atom
- E: -0.5242 Ry/atom
- Density: 2.850 Mg/m³

Unit cell a=8.6873 b=8.6873 c=6.0219 alpha=90.00 beta=90.00 gamma=126.44
Atoms (fractional coordinates):
Li 0.2337 0.7636 0.0000
Li 0.2364 0.7663 0.5000
Li 0.7636 0.2337 0.5000
Li 0.7663 0.2364 0.0000
Mn 0.2100 0.4029 0.7487
Mn 0.4029 0.2100 0.2487
Mn 0.5971 0.7900 0.2487
Mn 0.7900 0.5971 0.7487
P 0.1639 0.4224 0.2520
P 0.4224 0.1639 0.7520
P 0.5776 0.8361 0.7520
P 0.8361 0.5776 0.2520
O 0.0383 0.3496 0.4655
O 0.0414 0.3477 0.0361
O 0.2928 0.6486 0.2498
O 0.2977 0.3627 0.2588
O 0.3477 0.0414 0.5361
O 0.3496 0.0383 0.9655
O 0.3514 0.7072 0.7498
O 0.3627 0.2977 0.7588
O 0.6373 0.7023 0.7588
O 0.6486 0.2928 0.7498
O 0.6504 0.9617 0.9655
O 0.6523 0.9586 0.5361
O 0.7023 0.6373 0.2588
O 0.7072 0.3514 0.2498
O 0.9586 0.6523 0.0361
O 0.9617 0.6504 0.4655